# 1
VASP calculation (PBE) on LaMo6S8 after structural relaxation.

The structure belongs to space group R-3 (No. 148, hexagonal axes); the cell edges are 9.2129, 9.2129 and 11.5913 Å and the angles 90.00°, 90.00° and 120.00°. Symmetry generates all atoms from La at (0.0000, 0.0000, 0.0000), Mo at (0.0175, 0.8409, 0.4033), S at (0.0000, 0.0000, 0.2442) and S at (0.0024, 0.6240, 0.2509).



# 2
VASP calculation (PBE) on SbN after structural relaxation.

The structure belongs to space group P1 (No. 1); the cell edges are 3.322, 3.910 and 5.992 Å and the angles 91.31°, 91.55° and 90.22°. Symmetry generates all atoms from Sb at (0.000, 0.000, 0.000), Sb at (0.480, 0.484, 0.586), N at (0.495, 0.685, 0.917) and N at (0.983, 0.175, 0.670).

The total moment comes out at 0.00 Bohr magnetons per cell. The distance to the lowest polymorph of the same formula comes out at 0.10 eV per formula unit.



| no. | uncorrected energy (eV/atom) |
| --- | --- |
| 1 | -7.820 |
| 2 | -5.829 |